The following is a DFT calculation (r²SCAN) of Hf27P16 after structural relaxation.

Calculated values
Calculated volume, A^3/atom: 17.50
Energy relative to the elements, eV per atom: -1.168
Theoretical density, g/cm³: 11.7
Uncorrected energy, eV per atom: -32.87
Total moment, μB per atom: 0.0202

abc: 3.519 18.570 23.031
angles: 90.00 90.00 90.00
Space group Immm (No. 71)
Unique sites:
Hf 0.000 0.000 0.000 (multiplicity 2)
Hf 0.000 0.131 0.391 (multiplicity 8)
Hf 0.000 0.133 0.183 (multiplicity 8)
Hf 0.000 0.246 0.071 (multiplicity 8)
Hf 0.000 0.313 0.215 (multiplicity 8)
Hf 0.000 0.406 0.420 (multiplicity 8)
Hf 0.000 0.417 0.000 (multiplicity 4)
Hf 0.000 0.500 0.148 (multiplicity 4)
Hf 0.000 0.500 0.285 (multiplicity 4)
P 0.000 0.000 0.125 (multiplicity 4)
P 0.000 0.000 0.439 (multiplicity 4)
P 0.000 0.076 0.285 (multiplicity 8)
P 0.000 0.138 0.000 (multiplicity 4)
P 0.000 0.191 0.500 (multiplicity 4)
P 0.000 0.269 0.344 (multiplicity 8)